Record 1
VASP calculation (GGA-PBE) on a relaxed Zr9Co2P4 crystal.

For the uncorrected energy, the calculation gives -8.47 eV per atom. The formation energy comes out at -0.95 eV/atom. As for the space group: P4/mbm (127).

Lattice parameters (Å, degrees): 12.118 12.118 3.681 90.00 90.00 90.00
Fractional positions:
Zr 0.181 0.105 0.500
Zr 0.819 0.895 0.500
Zr 0.105 0.819 0.500
Zr 0.681 0.395 0.500
Zr 0.895 0.181 0.500
Zr 0.319 0.605 0.500
Zr 0.605 0.681 0.500
Zr 0.395 0.319 0.500
Zr 0.622 0.122 0.500
Zr 0.378 0.878 0.500
Zr 0.122 0.378 0.500
Zr 0.878 0.622 0.500
Zr 0.000 0.000 0.000
Zr 0.500 0.500 0.000
Zr 0.096 0.596 0.000
Zr 0.904 0.404 0.000
Zr 0.596 0.904 0.000
Zr 0.404 0.096 0.000
Co 0.750 0.250 0.000
Co 0.250 0.750 0.000
Co 0.250 0.250 0.000
Co 0.750 0.750 0.000
P 0.057 0.225 0.000
P 0.943 0.775 0.000
P 0.225 0.943 0.000
P 0.557 0.275 0.000
P 0.775 0.057 0.000
P 0.443 0.725 0.000
P 0.725 0.557 0.000
P 0.275 0.443 0.000



Record 2
VASP calculation (GGA-PBE) on a relaxed LiNbO3 crystal.

For the uncorrected energy, the calculation gives -7.85 eV per atom. The formation energy comes out at -2.89 eV/atom. The calculation puts the total moment at 0.000 μB per formula unit. As for the space group: P1 (1).

Lattice parameters (Å, degrees): 5.231 5.582 17.459 87.65 98.60 117.86
Fractional positions:
Li 0.336 0.616 0.058
Li 0.942 0.559 0.324
Li 0.082 0.983 0.181
Li 0.442 0.309 0.572
Li 0.690 0.935 0.448
Li 0.941 0.059 0.823
Li 0.190 0.684 0.698
Li 0.687 0.426 0.948
Nb 0.021 0.031 0.004
Nb 0.521 0.783 0.255
Nb 0.761 0.397 0.132
Nb 0.023 0.543 0.503
Nb 0.274 0.168 0.378
Nb 0.522 0.292 0.753
Nb 0.773 0.918 0.628
Nb 0.271 0.665 0.878
O 0.497 0.059 0.186
O 0.434 0.224 0.031
O 0.943 0.158 0.094
O 0.570 0.599 0.156
O 0.062 0.541 0.218
O 0.992 0.803 0.434
O 0.991 0.678 0.061
O 0.937 0.953 0.281
O 0.426 0.894 0.344
O 0.049 0.330 0.406
O 0.562 0.266 0.469
O 0.492 0.553 0.684
O 0.501 0.437 0.311
O 0.437 0.706 0.531
O 0.923 0.642 0.594
O 0.548 0.081 0.656
O 0.062 0.016 0.718
O 0.993 0.303 0.936
O 0.995 0.177 0.559
O 0.937 0.452 0.781
O 0.421 0.389 0.843
O 0.047 0.829 0.905
O 0.557 0.762 0.968
O 0.494 0.926 0.809



Record 3
VASP calculation (GGA-PBE) on a relaxed RbMg6Mo crystal.

For the uncorrected energy, the calculation gives -2.17 eV per atom. The formation energy comes out at 0.51 eV/atom. The calculation puts the total moment at 0.659 μB per formula unit. As for the space group: Amm2 (38). For the energy above the most stable polymorph in this dataset, the calculation gives 115 meV per atom.

Lattice parameters (Å, degrees): 6.309 6.309 5.223 90.00 90.00 110.82
Fractional positions:
Rb 0.398 0.602 0.500
Mg 0.923 0.683 0.500
Mg 0.317 0.077 0.500
Mg 0.843 0.157 0.500
Mg 0.660 0.889 0.000
Mg 0.111 0.340 0.000
Mg 0.636 0.364 0.000
Mo 0.112 0.888 0.000



Record 4
VASP calculation (GGA-PBE) on a relaxed KCu4Sb2 crystal.

For the uncorrected energy, the calculation gives -3.82 eV per atom. The formation energy comes out at -0.19 eV/atom. As for the space group: R-3m (166).

Lattice parameters (Å, degrees): 9.372 9.372 9.372 26.61 26.61 26.61
Fractional positions:
K 0.000 0.000 0.000
Cu 0.857 0.857 0.857
Cu 0.143 0.143 0.143
Cu 0.548 0.548 0.548
Cu 0.452 0.452 0.452
Sb 0.757 0.757 0.757
Sb 0.243 0.243 0.243



Record 5
VASP calculation (GGA-PBE) on a relaxed TlCrSe2 crystal.

For the uncorrected energy, the calculation gives -5.06 eV per atom. The formation energy comes out at -0.54 eV/atom. The calculation puts the total moment at 0.413 μB per formula unit. As for the space group: R3m (160).

Lattice parameters (Å, degrees): 9.728 9.728 9.728 19.65 19.65 19.65
Fractional positions:
Tl 0.163 0.163 0.163
Cr 0.996 0.996 0.996
Se 0.383 0.383 0.383
Se 0.276 0.276 0.276



Record 6
VASP calculation (GGA-PBE) on a relaxed Ce4Si2Se3O7 crystal.

For the uncorrected energy, the calculation gives -7.70 eV per atom. The formation energy comes out at -3.02 eV/atom. The calculation puts the total moment at 4.004 μB per formula unit. As for the space group: I4_1/amd (141).

Lattice parameters (Å, degrees): 11.313 11.313 11.313 99.78 114.52 114.52
Fractional positions:
Ce 0.011 0.346 0.335
Ce 0.989 0.335 0.823
Ce 0.511 0.335 0.346
Ce 0.511 0.177 0.665
Ce 0.989 0.654 0.665
Ce 0.489 0.823 0.335
Ce 0.489 0.665 0.654
Ce 0.011 0.665 0.177
Ce 0.595 0.297 0.047
Ce 0.750 0.047 0.953
Ce 0.750 0.703 0.297
Ce 0.905 0.953 0.703
Ce 0.405 0.703 0.953
Ce 0.250 0.953 0.047
Ce 0.250 0.297 0.703
Ce 0.095 0.047 0.297
Si 0.374 0.467 0.093
Si 0.626 0.093 0.220
Si 0.874 0.093 0.467
Si 0.874 0.780 0.907
Si 0.626 0.533 0.907
Si 0.126 0.220 0.093
Si 0.126 0.907 0.533
Si 0.374 0.907 0.780
Se 0.353 0.000 0.353
Se 0.353 0.353 0.500
Se 0.147 0.647 0.000
Se 0.147 0.500 0.647
Se 0.647 0.000 0.647
Se 0.647 0.647 0.500
Se 0.853 0.353 0.000
Se 0.853 0.500 0.353
Se 0.250 0.625 0.375
Se 0.750 0.375 0.625
Se 0.750 0.875 0.125
Se 0.250 0.125 0.875
O 0.227 0.150 0.158
O 0.008 0.158 0.431
O 0.492 0.923 0.150
O 0.492 0.569 0.842
O 0.008 0.850 0.077
O 0.273 0.431 0.923
O 0.273 0.842 0.850
O 0.227 0.077 0.569
O 0.773 0.850 0.842
O 0.992 0.842 0.569
O 0.508 0.077 0.850
O 0.508 0.431 0.158
O 0.992 0.150 0.923
O 0.727 0.569 0.077
O 0.727 0.158 0.150
O 0.773 0.923 0.431
O 0.025 0.195 0.170
O 0.975 0.170 0.644
O 0.525 0.170 0.195
O 0.525 0.356 0.830
O 0.975 0.805 0.830
O 0.475 0.644 0.170
O 0.475 0.830 0.805
O 0.025 0.830 0.356
O 0.250 0.860 0.610
O 0.750 0.610 0.860
O 0.750 0.140 0.390
O 0.250 0.390 0.140



Record 7
VASP calculation (GGA-PBE) on a relaxed Rb3Dy crystal.

For the uncorrected energy, the calculation gives -1.25 eV per atom. The formation energy comes out at 0.63 eV/atom. The calculation puts the total moment at 0.336 μB per formula unit. As for the space group: Pm-3m (221). For the energy above the most stable polymorph in this dataset, the calculation gives 3 meV per atom.

Lattice parameters (Å, degrees): 6.394 6.394 6.394 90.00 90.00 90.00
Fractional positions:
Rb 0.000 0.500 0.500
Rb 0.500 0.500 0.000
Rb 0.500 0.000 0.500
Dy 0.000 0.000 0.000



Record 8
VASP calculation (GGA-PBE) on a relaxed Sr2LiCoN2 crystal.

For the uncorrected energy, the calculation gives -5.37 eV per atom. The formation energy comes out at -0.64 eV/atom. The calculation puts the total moment at 2.000 μB per formula unit. As for the space group: P4_2/mnm (136).

Lattice parameters (Å, degrees): 5.430 5.430 7.382 90.00 90.00 90.00
Fractional positions:
Sr 0.000 0.500 0.750
Sr 0.000 0.500 0.250
Sr 0.500 0.000 0.250
Sr 0.500 0.000 0.750
Li 0.000 0.000 0.500
Li 0.500 0.500 0.000
Co 0.500 0.500 0.500
Co 0.000 0.000 0.000
N 0.735 0.735 0.500
N 0.765 0.235 0.000
N 0.265 0.265 0.500
N 0.235 0.765 0.000



Record 9
VASP calculation (GGA-PBE) on a relaxed NaGa4PS5O24 crystal.

For the uncorrected energy, the calculation gives -6.11 eV per atom. The formation energy comes out at -2.06 eV/atom. The calculation puts the total moment at 0.000 μB per formula unit. As for the space group: P1 (1).

Lattice parameters (Å, degrees): 8.463 8.460 22.067 89.84 90.33 119.88
Fractional positions:
Na 0.000 0.996 0.999
Na 0.663 0.333 0.836
Na 0.670 0.333 0.332
Ga 0.998 0.005 0.351
Ga 0.999 0.992 0.856
Ga 0.000 0.001 0.648
Ga 0.002 0.007 0.149
Ga 0.666 0.333 0.685
Ga 0.674 0.333 0.185
Ga 0.658 0.333 0.979
Ga 0.666 0.333 0.483
Ga 0.340 0.675 0.017
Ga 0.333 0.667 0.520
Ga 0.328 0.660 0.310
Ga 0.341 0.673 0.817
P 0.000 0.290 0.250
P 0.623 0.667 0.917
P 0.334 0.956 0.917
S 0.290 0.000 0.250
S 0.709 0.710 0.250
S 0.289 0.292 0.750
S 0.002 0.709 0.750
S 0.710 0.999 0.750
S 0.958 0.333 0.583
S 0.375 0.042 0.583
S 0.667 0.625 0.583
S 0.959 0.625 0.083
S 0.666 0.042 0.083
S 0.376 0.335 0.084
S 0.044 0.377 0.917
S 0.623 0.955 0.416
S 0.333 0.376 0.417
S 0.043 0.669 0.417
O 0.212 0.035 0.305
O 0.825 0.785 0.305
O 0.960 0.171 0.307
O 0.210 0.175 0.804
O 0.963 0.787 0.803
O 0.827 0.038 0.804
O 0.790 0.968 0.695
O 0.178 0.211 0.694
O 0.033 0.821 0.694
O 0.788 0.821 0.195
O 0.035 0.208 0.194
O 0.177 0.964 0.195
O 0.878 0.370 0.638
O 0.492 0.122 0.638
O 0.631 0.509 0.638
O 0.879 0.513 0.138
O 0.633 0.122 0.138
O 0.490 0.366 0.139
O 0.454 0.297 0.030
O 0.842 0.544 0.029
O 0.704 0.160 0.029
O 0.454 0.157 0.529
O 0.703 0.545 0.529
O 0.843 0.297 0.528
O 0.543 0.702 0.974
O 0.155 0.453 0.972
O 0.294 0.839 0.974
O 0.543 0.844 0.472
O 0.301 0.456 0.472
O 0.155 0.701 0.472
O 0.122 0.631 0.363
O 0.507 0.876 0.362
O 0.371 0.492 0.363
O 0.119 0.488 0.861
O 0.368 0.877 0.859
O 0.506 0.626 0.859
O 0.024 0.831 0.408
O 0.804 0.973 0.410
O 0.172 0.194 0.410
O 0.026 0.195 0.910
O 0.165 0.979 0.910
O 0.811 0.839 0.909
O 0.975 0.169 0.591
O 0.194 0.025 0.591
O 0.830 0.806 0.592
O 0.975 0.808 0.091
O 0.831 0.024 0.090
O 0.194 0.167 0.090
O 0.693 0.167 0.742
O 0.473 0.308 0.743
O 0.834 0.526 0.742
O 0.689 0.526 0.243
O 0.827 0.309 0.243
O 0.472 0.166 0.243
O 0.646 0.498 0.924
O 0.862 0.359 0.923
O 0.506 0.145 0.924
O 0.641 0.140 0.424
O 0.500 0.358 0.424
O 0.860 0.502 0.424
O 0.356 0.496 0.076
O 0.139 0.641 0.076
O 0.503 0.862 0.077
O 0.359 0.862 0.575
O 0.503 0.642 0.575
O 0.138 0.497 0.575
O 0.310 0.838 0.258
O 0.530 0.695 0.258
O 0.168 0.477 0.259
O 0.307 0.472 0.757
O 0.163 0.689 0.757
O 0.529 0.838 0.756



Record 10
VASP calculation (GGA-PBE) on a relaxed Pr6S4N3Cl crystal.

For the uncorrected energy, the calculation gives -6.93 eV per atom. The formation energy comes out at -1.97 eV/atom. The calculation puts the total moment at 0.000 μB per formula unit. As for the space group: Pnma (62).

Lattice parameters (Å, degrees): 4.066 11.871 26.948 90.00 90.00 90.00
Fractional positions:
Pr 0.750 0.765 0.331
Pr 0.250 0.735 0.831
Pr 0.250 0.735 0.565
Pr 0.250 0.412 0.540
Pr 0.250 0.945 0.691
Pr 0.750 0.555 0.191
Pr 0.250 0.912 0.960
Pr 0.750 0.588 0.460
Pr 0.750 0.088 0.040
Pr 0.250 0.383 0.295
Pr 0.750 0.117 0.795
Pr 0.750 0.265 0.435
Pr 0.750 0.058 0.574
Pr 0.750 0.558 0.926
Pr 0.750 0.265 0.169
Pr 0.750 0.765 0.065
Pr 0.250 0.235 0.669
Pr 0.250 0.235 0.935
Pr 0.250 0.883 0.205
Pr 0.250 0.445 0.809
Pr 0.750 0.617 0.705
Pr 0.750 0.055 0.309
Pr 0.250 0.442 0.074
Pr 0.250 0.942 0.426
S 0.750 0.955 0.135
S 0.750 0.455 0.365
S 0.750 0.286 0.604
S 0.250 0.646 0.007
S 0.750 0.854 0.507
S 0.250 0.182 0.359
S 0.750 0.818 0.641
S 0.250 0.045 0.865
S 0.750 0.786 0.896
S 0.250 0.146 0.493
S 0.250 0.545 0.635
S 0.250 0.682 0.141
S 0.250 0.214 0.104
S 0.750 0.318 0.859
S 0.250 0.714 0.396
S 0.750 0.354 0.993
N 0.250 0.112 0.740
N 0.750 0.388 0.240
N 0.250 0.062 0.624
N 0.750 0.888 0.260
N 0.250 0.562 0.876
N 0.250 0.598 0.510
N 0.250 0.612 0.760
N 0.750 0.902 0.010
N 0.750 0.938 0.376
N 0.750 0.402 0.490
N 0.250 0.098 0.990
N 0.750 0.438 0.124
Cl 0.750 0.368 0.733
Cl 0.250 0.132 0.233
Cl 0.750 0.868 0.767
Cl 0.250 0.632 0.267



Record 11
VASP calculation (GGA-PBE) on a relaxed Mg6BiCO8 crystal.

For the uncorrected energy, the calculation gives -5.57 eV per atom. The formation energy comes out at -2.02 eV/atom. The calculation puts the total moment at 0.333 μB per formula unit. As for the space group: P4/mmm (123). For the energy above the most stable polymorph in this dataset, the calculation gives 0 meV per atom.

Lattice parameters (Å, degrees): 8.781 4.470 4.470 90.00 90.00 90.00
Fractional positions:
Mg 0.500 0.000 0.000
Mg 0.500 0.500 0.500
Mg 0.259 0.000 0.500
Mg 0.741 0.000 0.500
Mg 0.259 0.500 0.000
Mg 0.741 0.500 0.000
Bi 0.000 0.500 0.500
C 0.000 0.000 0.000
O 0.263 0.000 0.000
O 0.737 0.000 0.000
O 0.269 0.500 0.500
O 0.731 0.500 0.500
O 0.000 0.000 0.500
O 0.500 0.000 0.500
O 0.000 0.500 0.000
O 0.500 0.500 0.000



Record 12
VASP calculation (GGA-PBE) on a relaxed BaYCu2O5 crystal.

For the uncorrected energy, the calculation gives -6.45 eV per atom. The formation energy comes out at -2.24 eV/atom. The calculation puts the total moment at 0.245 μB per formula unit. As for the space group: P4/mmm (123).

Lattice parameters (Å, degrees): 3.885 3.885 7.597 90.00 90.00 90.00
Fractional positions:
Ba 0.500 0.500 0.500
Y 0.500 0.500 0.000
Cu 0.000 0.000 0.232
Cu 0.000 0.000 0.768
O 0.500 0.000 0.185
O 0.000 0.500 0.185
O 0.500 0.000 0.815
O 0.000 0.500 0.815
O 0.000 0.000 0.500



> Among the records above, which one has the highest uncorrected energy?

Rb3Dy



> The lowest uncorrected energy belongs to which entry?

Zr9Co2P4



> Look up the uncorrected energy of the fifth one.

-5.06 eV per atom